## Li2Fe3Si2O8 (PBE with a Hubbard U)

Data for a geometry-optimized Li2Fe3Si2O8 structure.

Cell: 5.0632 8.9427 13.4485 Å, 108.48 99.32 90.96°
Closest atoms and distances in Å follow each position.
Atoms (fractional coordinates):
1 Li 0.0000 0.0000 0.0000  2 O 2.03-2.06
2 Li 0.0252 0.7341 0.0787  4 O 2.03-2.15
3 Li 0.1715 0.8675 0.3211  3 O 2.11-2.23
4 Li 0.2765 0.9846 0.5808  4 O 1.98-2.20
5 Li 0.8015 0.1599 0.6912  4 O 2.05-2.24
6 Li 0.9297 0.2612 0.9082  3 O 1.97-2.11
7 Fe 0.1390 0.1717 0.2582  4 O 1.99-2.11
8 Fe 0.2354 0.5641 0.4118  4 O 2.02-2.09
9 Fe 0.3941 0.3500 0.7626  4 O 2.00-2.07
10 Fe 0.4674 0.7632 0.9132  4 O 2.00-2.05
11 Fe 0.4737 0.2364 0.0553  4 O 1.99-2.07
12 Fe 0.5565 0.6515 0.2169  4 O 2.00-2.09
13 Fe 0.7446 0.0880 0.4088  4 O 2.01-2.05
14 Fe 0.8186 0.8475 0.7159  4 O 2.05-2.06
15 Fe 0.8318 0.5013 0.5682  4 O 1.98-2.07
16 Si 0.0375 0.4396 0.1570  4 O 1.65-1.67
17 Si 0.3013 0.2755 0.5086  4 O 1.63-1.68
18 Si 0.3694 0.0430 0.8161  4 O 1.64-1.66
19 Si 0.5711 0.9579 0.1563  4 O 1.64-1.66
20 Si 0.7417 0.7917 0.4729  4 O 1.64-1.68
21 Si 0.9226 0.5630 0.8242  4 O 1.65-1.67
22 O 0.0203 0.3806 0.7944  1 Si 1.66
23 O 0.0753 0.3952 0.2701  1 Si 1.67
24 O 0.1027 0.6957 0.9293  1 Si 1.65
25 O 0.1240 0.9986 0.7121  1 Si 1.65
26 O 0.2229 0.1016 0.9225  1 Si 1.66
27 O 0.3320 0.4512 0.1219  1 Si 1.65
28 O 0.3527 0.1376 0.3968  1 Si 1.68
29 O 0.3664 0.0953 0.1404  1 Si 1.66
30 O 0.3747 0.8322 0.1831  1 Si 1.65
31 O 0.4253 0.4492 0.5113  1 Si 1.65
32 O 0.4361 0.2208 0.6088  1 Si 1.63
33 O 0.4803 0.7196 0.3729  1 Si 1.68
34 O 0.5510 0.8913 0.8203  1 Si 1.66
35 O 0.5876 0.1775 0.8111  1 Si 1.64
36 O 0.6154 0.5500 0.8479  1 Si 1.65
37 O 0.6153 0.8776 0.5798  1 Si 1.64
38 O 0.7184 0.8880 0.0522  1 Si 1.64
39 O 0.8237 0.0287 0.2571  1 Si 1.66
40 O 0.8573 0.2949 0.0602  1 Si 1.65
41 O 0.9224 0.6167 0.1806  1 Si 1.65
42 O 0.9235 0.6286 0.7213  1 Si 1.67
43 O 0.9268 0.6470 0.4864  1 Si 1.65
44 O 0.9437 0.9143 0.4446  1 Si 1.66
45 O 0.9737 0.2881 0.5020  1 Si 1.65

Computed properties:
- calculated volume (Å³ per cell) = 568.38
- size of the total moment (Bohr magnetons per cell) = 36.00
- ΔE_f (meV per atom) = -2391.2



## MgV3CoSn2P6O24 (PBE with a Hubbard U)

Data for a geometry-optimized MgV3CoSn2P6O24 structure.

Cell: 8.6378 8.6665 9.2258 Å, 62.49 62.23 60.25°
Closest atoms and distances in Å follow each position.
Atoms (fractional coordinates):
1 Mg 0.0000 0.0000 0.0000  6 O 2.03-2.08
2 V 0.1082 0.1170 0.6562  5 O 1.96-2.16
3 V 0.3984 0.4020 0.7970  6 O 1.95-2.10
4 V 0.5957 0.6053 0.1968  6 O 1.88-2.02
5 Co 0.8858 0.8970 0.3254  6 O 2.05-2.16
6 Sn 0.2587 0.2557 0.2138  4 O 2.39-2.68
7 Sn 0.7530 0.7694 0.7085  3 O 2.29
8 P 0.2094 0.7879 0.5001  4 O 1.52-1.57
9 P 0.2936 0.7027 0.0044  4 O 1.55-1.56
10 P 0.4922 0.2198 0.4999  4 O 1.52-1.57
11 P 0.7016 0.9983 0.9997  4 O 1.54-1.58
12 P 0.7808 0.5021 0.4984  4 O 1.52-1.57
13 P 0.9927 0.3018 0.9984  4 O 1.53-1.58
14 O 0.0207 0.2581 0.8379  1 P 1.58
15 O 0.0279 0.7886 0.4986  1 P 1.57
16 O 0.1097 0.7403 0.1540  1 P 1.55
17 O 0.1588 0.3459 0.9736  1 P 1.55
18 O 0.1632 0.9860 0.5026  1 P 1.57
19 O 0.2539 0.6418 0.6625  1 P 1.52
20 O 0.2594 0.8764 0.8446  1 P 1.56
21 O 0.3315 0.1845 0.5006  1 P 1.56
22 O 0.3398 0.5186 0.9785  1 P 1.55
23 O 0.3689 0.7649 0.3308  1 P 1.55
24 O 0.4386 0.2521 0.6688  1 P 1.52
25 O 0.4601 0.6821 0.0437  1 P 1.55
26 O 0.5166 0.1610 0.9763  1 P 1.55
27 O 0.5285 0.3811 0.3369  1 P 1.54
28 O 0.6380 0.4383 0.6654  1 P 1.52
29 O 0.6718 0.0386 0.4944  1 P 1.57
30 O 0.6900 0.8141 0.0295  1 P 1.54
31 O 0.7369 0.5441 0.3339  1 P 1.57
32 O 0.7379 0.9953 0.1507  1 P 1.55
33 O 0.7786 0.6843 0.4955  1 P 1.56
34 O 0.8114 0.4684 0.0299  1 P 1.53
35 O 0.8765 0.0267 0.8393  1 P 1.58
36 O 0.9770 0.3484 0.4878  1 P 1.54
37 O 0.9924 0.1187 0.1489  1 P 1.55

Computed properties:
- calculated volume (Å³ per cell) = 506.07
- size of the total moment (Bohr magnetons per cell) = 0.71
- ΔE_f (meV per atom) = -2433.6
- energy above the lowest structure with this stoichiometry (eV per atom) = 0.102



- Look up the ΔE_f of the second one.
  -2433.6 meV per atom



- Which of these has the lowest calculated volume?
  MgV3CoSn2P6O24



- What is the calculated volume in the second record?
  506.07 Å³ per cell